No. 1
Material: K4TiO4
Method: DFT, PBE-GGA
State: optimized geometry

a = 6.455 Å, b = 6.477 Å, c = 9.691 Å
α = 71.96°, β = 79.93°, γ = 66.85°
Element x y z (fractional)
1 O 0.637 0.160 0.095
2 O 0.453 0.711 0.627
3 O 0.051 0.142 0.653
4 K 0.226 0.487 0.562
5 K 0.245 0.590 0.164
6 K 0.755 0.410 0.836
7 K 0.278 0.038 0.383
8 Ti 0.224 0.845 0.752
9 K 0.722 0.962 0.617
10 K 0.256 0.235 0.973
11 K 0.744 0.765 0.027
12 O 0.046 0.665 0.807
13 Ti 0.776 0.155 0.248
14 O 0.547 0.289 0.373
15 O 0.363 0.840 0.905
16 O 0.949 0.858 0.347
17 K 0.774 0.513 0.438
18 O 0.954 0.335 0.193

Summary:
energy of formation	-2.3870	eV/atom
polymorph energy (0 for the lowest one)	0	meV/atom
calculated total energy	-5.652	eV/atom

No. 2
Material: PrGaPd
Method: DFT, PBE-GGA
State: optimized geometry

a = 4.577 Å, b = 7.108 Å, c = 7.931 Å
α = 90.00°, β = 90.00°, γ = 90.00°
Element x y z (fractional)
1 Pd 0.250 0.282 0.391
2 Pr 0.250 0.531 0.810
3 Pd 0.750 0.218 0.891
4 Ga 0.750 0.341 0.569
5 Ga 0.250 0.159 0.069
6 Ga 0.750 0.841 0.931
7 Pr 0.750 0.969 0.310
8 Pr 0.750 0.469 0.190
9 Ga 0.250 0.659 0.431
10 Pd 0.250 0.782 0.109
11 Pd 0.750 0.718 0.609
12 Pr 0.250 0.031 0.690

Summary:
energy of formation	-0.8203	eV/atom
calculated total energy	-5.150	eV/atom

No. 3
Material: TaWN3
Method: DFT, PBE-GGA
State: optimized geometry

a = 5.885 Å, b = 9.573 Å, c = 7.886 Å
α = 123.86°, β = 76.09°, γ = 119.13°
Element x y z (fractional)
1 Ta 0.969 0.057 0.732
2 N 0.143 0.969 0.828
3 N 0.920 0.719 0.976
4 Ta 0.031 0.943 0.268
5 N 0.207 0.642 0.534
6 N 0.383 0.594 0.775
7 Ta 0.878 0.618 0.463
8 N 0.009 0.169 0.569
9 N 0.793 0.358 0.466
10 W 0.275 0.222 0.139
11 N 0.857 0.031 0.172
12 N 0.080 0.281 0.024
13 N 0.368 0.039 0.164
14 N 0.617 0.406 0.225
15 W 0.725 0.778 0.861
16 W 0.762 0.202 0.179
17 W 0.238 0.798 0.821
18 Ta 0.122 0.382 0.537
19 N 0.632 0.961 0.836
20 N 0.991 0.831 0.431

Summary:
energy of formation	-0.5829	eV/atom
magnetic moment	0.00	μB/atom
calculated total energy	-10.331	eV/atom